This record from the Materials Project describes an optimized crystal structure of Pr2US5. The functional is r²SCAN.

Unit cell a=11.947 b=8.196 c=7.566 alpha=90.00 beta=90.00 gamma=90.00
Atoms (fractional coordinates):
Pr 0.177 0.000 0.024
Pr 0.177 0.500 0.024
Pr 0.323 0.000 0.524
Pr 0.323 0.500 0.524
Pr 0.677 0.000 0.476
Pr 0.677 0.500 0.476
Pr 0.823 0.000 0.976
Pr 0.823 0.500 0.976
U 0.010 0.250 0.572
U 0.490 0.750 0.072
U 0.510 0.250 0.928
U 0.990 0.750 0.428
S 0.001 0.250 0.955
S 0.094 0.540 0.662
S 0.094 0.960 0.662
S 0.186 0.250 0.332
S 0.213 0.750 0.305
S 0.287 0.250 0.805
S 0.314 0.750 0.832
S 0.406 0.040 0.162
S 0.406 0.460 0.162
S 0.499 0.750 0.455
S 0.501 0.250 0.545
S 0.594 0.540 0.838
S 0.594 0.960 0.838
S 0.686 0.250 0.168
S 0.713 0.750 0.195
S 0.787 0.250 0.695
S 0.814 0.750 0.668
S 0.906 0.040 0.338
S 0.906 0.460 0.338
S 0.999 0.750 0.045

Values from the calculation:
**Calculated formation energy**: -2.206 eV per atom
**Space group**: No. 62

=====

This record from the Materials Project describes an optimized crystal structure of PrY3S6. The functional is r²SCAN.

Unit cell a=11.095 b=4.001 c=11.372 alpha=90.00 beta=108.75 gamma=90.00
Atoms (fractional coordinates):
Pr 0.049 0.250 0.195
Pr 0.951 0.750 0.805
Y 0.161 0.250 0.587
Y 0.320 0.750 0.998
Y 0.441 0.250 0.333
Y 0.559 0.750 0.667
Y 0.680 0.250 0.002
Y 0.839 0.750 0.413
S 0.082 0.750 0.406
S 0.118 0.250 0.963
S 0.196 0.750 0.749
S 0.265 0.750 0.228
S 0.395 0.250 0.559
S 0.478 0.250 0.112
S 0.522 0.750 0.888
S 0.605 0.750 0.441
S 0.735 0.250 0.772
S 0.804 0.250 0.251
S 0.882 0.750 0.037
S 0.918 0.250 0.594

Values from the calculation:
**Calculated formation energy**: -2.401 eV per atom
**Space group**: No. 11

=====

This record from the Materials Project describes an optimized crystal structure of YbPr2S4. The functional is r²SCAN.

Unit cell a=7.376 b=7.376 c=7.376 alpha=110.63 beta=110.63 gamma=107.17
Atoms (fractional coordinates):
Yb 0.000 0.000 0.000
Yb 0.750 0.250 0.500
Pr 0.265 0.625 0.140
Pr 0.375 0.515 0.640
Pr 0.485 0.125 0.860
Pr 0.875 0.735 0.360
S 0.108 0.226 0.739
S 0.119 0.737 0.761
S 0.263 0.024 0.382
S 0.487 0.369 0.261
S 0.631 0.892 0.118
S 0.642 0.881 0.618
S 0.774 0.513 0.882
S 0.976 0.358 0.239

Values from the calculation:
**Calculated formation energy**: -2.254 eV per atom
**Space group**: No. 122

=====

This record from the Materials Project describes an optimized crystal structure of Pr5Sb3. The functional is r²SCAN.

Unit cell a=9.436 b=9.436 c=6.577 alpha=90.00 beta=90.00 gamma=120.00
Atoms (fractional coordinates):
Pr 0.000 0.252 0.250
Pr 0.000 0.748 0.750
Pr 0.252 0.000 0.250
Pr 0.252 0.252 0.750
Pr 0.333 0.667 0.000
Pr 0.333 0.667 0.500
Pr 0.667 0.333 0.000
Pr 0.667 0.333 0.500
Pr 0.748 0.000 0.750
Pr 0.748 0.748 0.250
Sb 0.000 0.385 0.750
Sb 0.000 0.615 0.250
Sb 0.385 0.000 0.750
Sb 0.385 0.385 0.250
Sb 0.615 0.000 0.250
Sb 0.615 0.615 0.750

Values from the calculation:
**Calculated formation energy**: -1.122 eV per atom
**Space group**: No. 193

=====

This record from the Materials Project describes an optimized crystal structure of Pr4Sb3. The functional is r²SCAN.

Unit cell a=8.305 b=8.305 c=8.305 alpha=109.47 beta=109.47 gamma=109.47
Atoms (fractional coordinates):
Pr 0.000 0.140 0.500
Pr 0.000 0.640 0.500
Pr 0.140 0.500 0.000
Pr 0.360 0.360 0.360
Pr 0.500 0.000 0.140
Pr 0.500 0.000 0.640
Pr 0.640 0.500 0.000
Pr 0.860 0.860 0.860
Sb 0.125 0.875 0.250
Sb 0.250 0.125 0.875
Sb 0.375 0.625 0.750
Sb 0.625 0.750 0.375
Sb 0.750 0.375 0.625
Sb 0.875 0.250 0.125

Values from the calculation:
**Calculated formation energy**: -1.243 eV per atom
**Space group**: No. 220

=====

This record from the Materials Project describes an optimized crystal structure of PrSb2. The functional is r²SCAN.

Unit cell a=4.408 b=4.408 c=18.688 alpha=90.00 beta=90.00 gamma=88.58
Atoms (fractional coordinates):
Pr 0.138 0.862 0.888
Pr 0.362 0.638 0.388
Pr 0.638 0.362 0.612
Pr 0.862 0.138 0.112
Sb 0.123 0.377 0.750
Sb 0.132 0.868 0.562
Sb 0.368 0.632 0.062
Sb 0.377 0.123 0.250
Sb 0.623 0.877 0.750
Sb 0.632 0.368 0.938
Sb 0.868 0.132 0.438
Sb 0.877 0.623 0.250

Values from the calculation:
**Calculated formation energy**: -0.942 eV per atom
**Space group**: No. 64

=====

This record from the Materials Project describes an optimized crystal structure of PrSbSe. The functional is r²SCAN.

Unit cell a=4.236 b=18.487 c=5.989 alpha=90.00 beta=134.95 gamma=90.00
Atoms (fractional coordinates):
Pr 0.008 0.148 0.264
Pr 0.008 0.352 0.764
Pr 0.992 0.648 0.236
Pr 0.992 0.852 0.736
Sb 0.479 0.000 0.237
Sb 0.479 0.500 0.737
Sb 0.521 0.000 0.763
Sb 0.521 0.500 0.263
Se 0.009 0.187 0.763
Se 0.009 0.313 0.263
Se 0.991 0.687 0.737
Se 0.991 0.813 0.237

Values from the calculation:
**Calculated formation energy**: -1.624 eV per atom
**Space group**: No. 14

=====

This record from the Materials Project describes an optimized crystal structure of Pr3TiSb5. The functional is r²SCAN.

Unit cell a=9.588 b=9.588 c=6.209 alpha=90.00 beta=90.00 gamma=120.00
Atoms (fractional coordinates):
Pr 0.000 0.380 0.250
Pr 0.000 0.620 0.750
Pr 0.380 0.000 0.250
Pr 0.380 0.380 0.750
Pr 0.620 0.000 0.750
Pr 0.620 0.620 0.250
Ti 0.000 0.000 0.000
Ti 0.000 0.000 0.500
Sb 0.000 0.250 0.750
Sb 0.000 0.750 0.250
Sb 0.250 0.000 0.750
Sb 0.250 0.250 0.250
Sb 0.333 0.667 0.000
Sb 0.333 0.667 0.500
Sb 0.667 0.333 0.000
Sb 0.667 0.333 0.500
Sb 0.750 0.000 0.250
Sb 0.750 0.750 0.750

Values from the calculation:
**Calculated formation energy**: -1.047 eV per atom
**Space group**: No. 193

=====

This record from the Materials Project describes an optimized crystal structure of Pr3ZrSb5. The functional is r²SCAN.

Unit cell a=9.664 b=9.664 c=6.282 alpha=90.00 beta=90.00 gamma=120.00
Atoms (fractional coordinates):
Pr 0.000 0.381 0.250
Pr 0.000 0.619 0.750
Pr 0.381 0.000 0.250
Pr 0.381 0.381 0.750
Pr 0.619 0.000 0.750
Pr 0.619 0.619 0.250
Zr 0.000 0.000 0.000
Zr 0.000 0.000 0.500
Sb 0.000 0.261 0.750
Sb 0.000 0.739 0.250
Sb 0.261 0.000 0.750
Sb 0.261 0.261 0.250
Sb 0.333 0.667 0.000
Sb 0.333 0.667 0.500
Sb 0.667 0.333 0.000
Sb 0.667 0.333 0.500
Sb 0.739 0.000 0.250
Sb 0.739 0.739 0.750

Values from the calculation:
**Calculated formation energy**: -1.114 eV per atom
**Space group**: No. 193

=====

This record from the Materials Project describes an optimized crystal structure of Pr3Sc. The functional is r²SCAN.

Unit cell a=7.355 b=7.355 c=5.762 alpha=90.00 beta=90.00 gamma=120.00
Atoms (fractional coordinates):
Pr 0.171 0.342 0.250
Pr 0.171 0.829 0.250
Pr 0.342 0.171 0.750
Pr 0.658 0.829 0.250
Pr 0.829 0.171 0.750
Pr 0.829 0.658 0.750
Sc 0.333 0.667 0.750
Sc 0.667 0.333 0.250

Values from the calculation:
**Calculated formation energy**: 0.067 eV per atom
**Space group**: No. 194
**Distance to the lowest polymorph of the same formula**: 0.000 eV/f.u.

=====

This record from the Materials Project describes an optimized crystal structure of Pr3Sc. The functional is r²SCAN.

Unit cell a=6.238 b=6.238 c=6.238 alpha=131.76 beta=131.76 gamma=70.61
Atoms (fractional coordinates):
Pr 0.000 0.000 0.000
Pr 0.250 0.750 0.500
Pr 0.750 0.250 0.500
Sc 0.500 0.500 0.000

Values from the calculation:
**Calculated formation energy**: 0.069 eV per atom
**Space group**: No. 139
**Distance to the lowest polymorph of the same formula**: 0.008 eV/f.u.

=====

This record from the Materials Project describes an optimized crystal structure of Pr2Sc3Si4. The functional is r²SCAN.

Unit cell a=7.252 b=14.254 c=7.571 alpha=90.00 beta=90.00 gamma=90.00
Atoms (fractional coordinates):
Pr 0.012 0.098 0.173
Pr 0.012 0.402 0.173
Pr 0.488 0.598 0.673
Pr 0.488 0.902 0.673
Pr 0.512 0.098 0.327
Pr 0.512 0.402 0.327
Pr 0.988 0.598 0.827
Pr 0.988 0.902 0.827
Sc 0.161 0.750 0.499
Sc 0.171 0.126 0.676
Sc 0.171 0.374 0.676
Sc 0.329 0.626 0.176
Sc 0.329 0.874 0.176
Sc 0.339 0.250 0.999
Sc 0.661 0.750 0.001
Sc 0.671 0.126 0.824
Sc 0.671 0.374 0.824
Sc 0.829 0.626 0.324
Sc 0.829 0.874 0.324
Sc 0.839 0.250 0.501
Si 0.034 0.750 0.126
Si 0.151 0.539 0.463
Si 0.151 0.961 0.463
Si 0.212 0.250 0.383
Si 0.288 0.750 0.883
Si 0.349 0.039 0.963
Si 0.349 0.461 0.963
Si 0.466 0.250 0.626
Si 0.534 0.750 0.374
Si 0.651 0.539 0.037
Si 0.651 0.961 0.037
Si 0.712 0.250 0.117
Si 0.788 0.750 0.617
Si 0.849 0.039 0.537
Si 0.849 0.461 0.537
Si 0.966 0.250 0.874

Values from the calculation:
**Calculated formation energy**: -0.839 eV per atom
**Space group**: No. 62